## GaCu3 (r2SCAN)

Data for a relaxed GaCu3 crystal.

Unit cell a=3.6454 b=3.6454 c=3.6454 alpha=90.00 beta=90.00 gamma=90.00
Fractional positions:
Cu: 0.0000 0.5000 0.5000
Cu: 0.5000 0.5000 0.0000
Cu: 0.5000 0.0000 0.5000
Ga: 0.0000 0.0000 0.0000

Magnetization: 0.0 μB/f.u.
E: -11.092 eV per atom